DFT (PBE) results for a relaxed NaDy3Ti2Sb2O14 crystal.

Calculated values
Crystal system   monoclinic
E_form   -3.14 eV/atom
E   -336.05 eV/cell
Calculated volume   546.6 Å³/cell
E (MP2020)   -355.28 eV per cell
Total magnetization   0.0 μB per formula unit
Distance to the lowest polymorph of the same formula   10.7 kJ/mol of formula units

Geometry as CIF:
```
data_NaDy3Ti2Sb2O14
_chemical_formula_sum 'Na2 Dy6 Ti4 Sb4 O28'
_cell_length_a 12.519
_cell_length_b 7.357
_cell_length_c 7.210
_cell_angle_alpha 90.00
_cell_angle_beta 124.61
_cell_angle_gamma 90.00
_symmetry_space_group_name_H-M 'C 1 2/m 1'
_symmetry_Int_Tables_number 12
_symmetry_space_group_name_Hall '-C 2y'
loop_
_atom_site_label
_atom_site_type_symbol
_atom_site_fract_x
_atom_site_fract_y
_atom_site_fract_z
Na1 Na 0.000 0.000 0.000
Dy1 Dy 0.000 0.000 0.500
Dy2 Dy 0.250 0.250 0.000
Ti1 Ti 0.000 0.500 0.000
Ti2 Ti 0.000 0.500 0.500
Sb1 Sb 0.250 0.250 0.500
O1 O 0.072 0.500 0.820
O2 O 0.124 0.298 0.579
O3 O 0.130 0.307 0.175
O4 O 0.133 0.000 0.869
O5 O 0.169 0.000 0.427
```

=====

DFT (PBE) results for a relaxed NaSrDySeO6 crystal.

Calculated values
Crystal system   cubic
E_form   -2.44 eV/atom
E   -244.39 eV/cell
Calculated volume   521.0 Å³/cell
E (MP2020)   -260.88 eV per cell
Total magnetization   0.0 μB per formula unit

Geometry as CIF:
```
data_NaSrDySeO6
_chemical_formula_sum 'Na4 Sr4 Dy4 Se4 O24'
_cell_length_a 8.047
_cell_length_b 8.047
_cell_length_c 8.047
_cell_angle_alpha 90.00
_cell_angle_beta 90.00
_cell_angle_gamma 90.00
_symmetry_space_group_name_H-M 'F -4 3 m'
_symmetry_Int_Tables_number 216
_symmetry_space_group_name_Hall 'F -4 2 3'
loop_
_atom_site_label
_atom_site_type_symbol
_atom_site_fract_x
_atom_site_fract_y
_atom_site_fract_z
Na1 Na 0.000 0.000 0.000
Sr1 Sr 0.000 0.000 0.500
Dy1 Dy 0.250 0.250 0.250
Se1 Se 0.250 0.250 0.750
O1 O 0.024 0.250 0.750
```

=====

DFT (PBE) results for a relaxed NaDyTi2O6 crystal.

Calculated values
Crystal system   orthorhombic
E_form   -3.44 eV/atom
E   -163.42 eV/cell
Calculated volume   225.6 Å³/cell
E (MP2020)   -171.67 eV per cell
Total magnetization   0.0 μB per formula unit

Geometry as CIF:
```
data_NaDyTi2O6
_chemical_formula_sum 'Na2 Dy2 Ti4 O12'
_cell_length_a 7.637
_cell_length_b 5.541
_cell_length_c 5.331
_cell_angle_alpha 90.00
_cell_angle_beta 90.00
_cell_angle_gamma 90.00
_symmetry_space_group_name_H-M 'P m n 21'
_symmetry_Int_Tables_number 31
_symmetry_space_group_name_Hall 'P 2ac -2'
loop_
_atom_site_label
_atom_site_type_symbol
_atom_site_fract_x
_atom_site_fract_y
_atom_site_fract_z
Na1 Na 0.000 0.217 0.000
Dy1 Dy 0.000 0.680 0.523
Ti1 Ti 0.248 0.235 0.517
O1 O 0.000 0.274 0.428
O2 O 0.000 0.775 0.107
O3 O 0.198 0.946 0.697
O4 O 0.209 0.465 0.783
```

=====

DFT (PBE) results for a relaxed NaDyS2 crystal.

Calculated values
Crystal system   trigonal
E_form   -2.09 eV/atom
E   -64.73 eV/cell
Calculated volume   274.7 Å³/cell
E (MP2020)   -67.75 eV per cell

Geometry as CIF:
```
data_NaDyS2
_chemical_formula_sum 'Na3 Dy3 S6'
_cell_length_a 3.9888
_cell_length_b 3.9888
_cell_length_c 19.9349
_cell_angle_alpha 90.00
_cell_angle_beta 90.00
_cell_angle_gamma 120.00
_symmetry_space_group_name_H-M 'R -3 m'
_symmetry_Int_Tables_number 166
_symmetry_space_group_name_Hall '-R 3 2"'
loop_
_atom_site_label
_atom_site_type_symbol
_atom_site_fract_x
_atom_site_fract_y
_atom_site_fract_z
Na1 Na 0.0000 0.0000 0.0000
Dy1 Dy 0.0000 0.0000 0.5000
S1 S 0.0000 0.0000 0.2427
```

=====

DFT (PBE) results for a relaxed NaDySe2 crystal.

Calculated values
Crystal system   trigonal
E_form   -1.94 eV/atom
E   -59.17 eV/cell
Calculated volume   314.1 Å³/cell
E (MP2020)   -62.00 eV per cell

Geometry as CIF:
```
data_NaDySe2
_chemical_formula_sum 'Na3 Dy3 Se6'
_cell_length_a 4.1528
_cell_length_b 4.1528
_cell_length_c 21.0331
_cell_angle_alpha 90.00
_cell_angle_beta 90.00
_cell_angle_gamma 120.00
_symmetry_space_group_name_H-M 'R -3 m'
_symmetry_Int_Tables_number 166
_symmetry_space_group_name_Hall '-R 3 2"'
loop_
_atom_site_label
_atom_site_type_symbol
_atom_site_fract_x
_atom_site_fract_y
_atom_site_fract_z
Na1 Na 0.0000 0.0000 0.0000
Dy1 Dy 0.0000 0.0000 0.5000
Se1 Se 0.0000 0.0000 0.2427
```

=====

DFT (PBE) results for a relaxed NaDyTl2 crystal.

Calculated values
Crystal system   cubic
E_form   -0.23 eV/atom
E   -46.34 eV/cell
Calculated volume   434.8 Å³/cell

Geometry as CIF:
```
data_NaDyTl2
_chemical_formula_sum 'Na4 Dy4 Tl8'
_cell_length_a 7.576
_cell_length_b 7.576
_cell_length_c 7.576
_cell_angle_alpha 90.00
_cell_angle_beta 90.00
_cell_angle_gamma 90.00
_symmetry_space_group_name_H-M 'F m -3 m'
_symmetry_Int_Tables_number 225
_symmetry_space_group_name_Hall '-F 4 2 3'
loop_
_atom_site_label
_atom_site_type_symbol
_atom_site_fract_x
_atom_site_fract_y
_atom_site_fract_z
Na1 Na 0.000 0.000 0.000
Dy1 Dy 0.000 0.000 0.500
Tl1 Tl 0.250 0.250 0.250
```

=====

Which of these has the lowest calculated volume?
NaDyTi2O6

=====

Among the records above, which one has the lowest calculated volume?
NaDyTi2O6

=====

E_form of number 4 (NaDyS2)?
-2.09 eV/atom

=====

What is the formula in the sixth record?
NaDyTl2